No. 1
Material: TiMn2O4
Method: DFT, r2SCAN
State: relaxed

Unit cell a=6.1482 b=6.1482 c=8.5915 alpha=90.00 beta=90.00 gamma=90.00
Closest atoms and distances in Å follow each position.
Sites, in units of the cell vectors:
O 0.7308 0.4858 0.9798  2 Ti 1.98-2.06, 2 Mn 2.05-2.20
O 0.2700 0.0343 0.9974  1 Ti 1.92, 2 Mn 2.05-2.13
O 0.2700 0.9657 0.5026  1 Ti 1.92, 2 Mn 2.05-2.13
Mn 0.7478 0.0000 0.7500  6 O 2.13-2.20
O 0.5142 0.7308 0.7298  2 Ti 1.98-2.06, 2 Mn 2.05-2.20
Mn 0.2509 0.7491 0.8750  4 O 2.05
O 0.9657 0.2700 0.7474  1 Ti 1.92, 2 Mn 2.05-2.13
Mn 0.0000 0.7478 0.5000  6 O 2.13-2.20
O 0.2692 0.5142 0.4798  2 Ti 1.98-2.06, 2 Mn 2.05-2.20
O 0.0343 0.7300 0.2474  1 Ti 1.92, 2 Mn 2.05-2.13
Ti 0.5000 0.2455 0.0000  6 O 1.92-2.06
O 0.7308 0.5142 0.5202  2 Ti 1.98-2.06, 2 Mn 2.05-2.20
O 0.2692 0.4858 0.0202  2 Ti 1.98-2.06, 2 Mn 2.05-2.20
Ti 0.2455 0.5000 0.2500  6 O 1.92-2.06
O 0.0343 0.2700 0.2526  1 Ti 1.92, 2 Mn 2.05-2.13
O 0.7300 0.9657 0.4974  1 Ti 1.92, 2 Mn 2.05-2.13
Mn 0.7491 0.7491 0.1250  4 O 2.05
O 0.9657 0.7300 0.7526  1 Ti 1.92, 2 Mn 2.05-2.13
Mn 0.2522 0.0000 0.2500  6 O 2.13-2.20
O 0.4858 0.2692 0.2298  2 Ti 1.98-2.06, 2 Mn 2.05-2.20
Ti 0.5000 0.7545 0.5000  6 O 1.92-2.06
O 0.4858 0.7308 0.2702  2 Ti 1.98-2.06, 2 Mn 2.05-2.20
Ti 0.7545 0.5000 0.7500  6 O 1.92-2.06
Mn 0.7491 0.2509 0.3750  4 O 2.05
Mn 0.0000 0.2522 0.0000  6 O 2.13-2.20
O 0.7300 0.0343 0.0026  1 Ti 1.92, 2 Mn 2.05-2.13
Mn 0.2509 0.2509 0.6250  4 O 2.05
O 0.5142 0.2692 0.7702  2 Ti 1.98-2.06, 2 Mn 2.05-2.20

Calculated values
Energy of formation   -2.5895 eV/atom
Uncorrected energy   -0.4427 Ha/atom
SG   No. 95
Volume   11.60 Å³ per atom

No. 2
Material: EuIn4Cu
Method: DFT, r2SCAN
State: relaxed

Unit cell a=8.7815 b=8.7815 c=7.3844 alpha=90.00 beta=90.00 gamma=150.22
Closest atoms and distances in Å follow each position.
Sites, in units of the cell vectors:
Eu 0.8801 0.1199 0.7500  11 In 3.26-3.61, 2 Cu 3.44
Eu 0.1199 0.8801 0.2500  11 In 3.26-3.61, 2 Cu 3.44
In 0.3141 0.6859 0.0495  3 Cu 2.66-2.79, 1 In 2.96
In 0.6859 0.3141 0.5495  3 Cu 2.66-2.79, 1 In 2.96
Cu 0.2275 0.7725 0.7500  7 In 2.64-2.79
Cu 0.7725 0.2275 0.2500  7 In 2.64-2.79
In 0.5000 0.5000 0.5000  6 In 3.16-3.18
In 0.9281 0.0719 0.2500  1 Cu 2.64
In 0.6859 0.3141 0.9505  3 Cu 2.66-2.79, 1 In 2.96
In 0.3141 0.6859 0.4505  3 Cu 2.66-2.79, 1 In 2.96
In 0.0719 0.9281 0.7500  1 Cu 2.64
In 0.5000 0.5000 0.0000  6 In 3.16-3.18

Calculated values
Energy of formation   -0.3672 eV/atom
Uncorrected energy   -0.8690 Ha/atom
SG   No. 63
Volume   23.57 Å³ per atom

No. 3
Material: HfSb4Mo
Method: DFT, r2SCAN
State: relaxed

Unit cell a=3.6669 b=5.4741 c=7.6152 alpha=87.68 beta=76.06 gamma=109.53
Closest atoms and distances in Å follow each position.
Sites, in units of the cell vectors:
Sb 0.2930 0.7022 0.1161  3 Mo 2.91-3.01, 2 Hf 2.97-2.98
Hf 0.0394 0.8883 0.8092  8 Sb 2.94-3.01, 1 Mo 3.20
Mo 0.9607 0.1134 0.1919  8 Sb 2.79-3.01
Sb 0.3891 0.2335 0.4538  2 Mo 2.79-2.80, 3 Sb 2.83-3.05, 1 Hf 2.97
Sb 0.6989 0.3032 0.9058  2 Mo 2.87, 3 Hf 2.97-3.01
Sb 0.6189 0.7593 0.5231  3 Sb 2.83-3.05, 1 Mo 2.85, 2 Hf 2.94

Calculated values
Energy of formation   -0.2345 eV/atom
Uncorrected energy   -1.0746 Ha/atom
SG   No. 8
Volume   23.10 Å³ per atom

No. 4
Material: TbBiPd
Method: DFT, r2SCAN
State: relaxed

Unit cell a=4.7348 b=4.7348 c=4.7348 alpha=60.00 beta=60.00 gamma=60.00
Closest atoms and distances in Å follow each position.
Sites, in units of the cell vectors:
Tb 0.5000 0.5000 0.5000  4 Pd 2.90
Bi 0.0000 0.0000 0.0000  4 Pd 2.90
Pd 0.2500 0.2500 0.2500  4 Tb 2.90, 4 Bi 2.90

Calculated values
Energy of formation   -1.0593 eV/atom
Uncorrected energy   -1.4193 Ha/atom
SG   No. 216
Volume   25.02 Å³ per atom

No. 5
Material: KCaCl3
Method: DFT, r2SCAN
State: relaxed

Unit cell a=7.2342 b=7.2342 c=8.0271 alpha=63.22 beta=63.22 gamma=60.00
Closest atoms and distances in Å follow each position.
Sites, in units of the cell vectors:
Cl 0.0605 0.4643 0.7716  2 Ca 2.74-2.77
Ca 0.6590 0.6590 0.0231  6 Cl 2.74-2.77
K 0.1423 0.1423 0.5730  6 Cl 3.07-3.21
Ca 0.3410 0.3410 0.9769  6 Cl 2.74-2.77
Cl 0.7036 0.0606 0.7716  2 Ca 2.74-2.77
Cl 0.2964 0.9394 0.2284  2 Ca 2.74-2.77
K 0.8577 0.8577 0.4270  6 Cl 3.07-3.21
Cl 0.5357 0.2964 0.2284  2 Ca 2.74-2.77
Cl 0.9394 0.5357 0.2284  2 Ca 2.74-2.77
Cl 0.4643 0.7036 0.7716  2 Ca 2.74-2.77

Calculated values
Energy of formation   -2.4694 eV/atom
Uncorrected energy   -0.3224 Ha/atom
SG   No. 148
Volume   31.07 Å³ per atom

No. 6
Material: Yb2AgPb
Method: DFT, r2SCAN
State: relaxed

Unit cell a=5.1554 b=5.1554 c=5.1554 alpha=60.00 beta=60.00 gamma=60.00
Closest atoms and distances in Å follow each position.
Sites, in units of the cell vectors:
Yb 0.7500 0.7500 0.7500  4 Ag 3.16, 4 Pb 3.16
Yb 0.2500 0.2500 0.2500  4 Pb 3.16, 4 Ag 3.16
Pb 0.0000 0.0000 0.0000  8 Yb 3.16
Ag 0.5000 0.5000 0.5000  8 Yb 3.16

Calculated values
Energy of formation   -0.4191 eV/atom
Uncorrected energy   -1.3999 Ha/atom
SG   No. 225
Volume   24.22 Å³ per atom

No. 7
Material: SiO2
Method: DFT, r2SCAN
State: relaxed

Unit cell a=7.1937 b=7.1937 c=12.1272 alpha=90.00 beta=90.00 gamma=90.00
Closest atoms and distances in Å follow each position.
Sites, in units of the cell vectors:
Si 0.5000 0.2940 0.7122  4 O 1.61-1.62
O 0.8185 0.0000 0.9209  2 Si 1.62
O 0.3168 0.1832 0.7500  2 Si 1.61
Si 0.5000 0.7060 0.7122  4 O 1.61-1.62
O 0.1815 0.0000 0.9209  2 Si 1.62
Si 0.2940 0.5000 0.2878  4 O 1.61-1.62
O 0.3168 0.8168 0.7500  2 Si 1.61
O 0.6832 0.1832 0.7500  2 Si 1.61
Si 0.0000 0.7940 0.2122  4 O 1.61-1.62
O 0.5000 0.5000 0.2337  2 Si 1.62
O 0.0000 0.1815 0.0791  2 Si 1.62
O 0.5000 0.6815 0.5791  2 Si 1.62
Si 0.0000 0.0000 0.0000  4 O 1.62
Si 0.7940 0.0000 0.7878  4 O 1.61-1.62
O 0.5000 0.5000 0.7663  2 Si 1.62
Si 0.7060 0.5000 0.2878  4 O 1.61-1.62
Si 0.2060 0.0000 0.7878  4 O 1.61-1.62
O 0.5000 0.3185 0.5791  2 Si 1.62
O 0.0000 0.0000 0.7337  2 Si 1.62
Si 0.5000 0.5000 0.5000  4 O 1.62
O 0.8168 0.6832 0.2500  2 Si 1.61
O 0.1832 0.3168 0.2500  2 Si 1.61
O 0.3185 0.5000 0.4209  2 Si 1.62
O 0.1832 0.6832 0.2500  2 Si 1.61
O 0.0000 0.8185 0.0791  2 Si 1.62
O 0.6815 0.5000 0.4209  2 Si 1.62
O 0.0000 0.0000 0.2663  2 Si 1.62
O 0.6832 0.8168 0.7500  2 Si 1.61
Si 0.0000 0.2060 0.2122  4 O 1.61-1.62
O 0.8168 0.3168 0.2500  2 Si 1.61

Calculated values
Energy of formation   -2.9910 eV/atom
Uncorrected energy   -0.3637 Ha/atom
Volume   20.92 Å³ per atom

No. 8
Material: La4SnSb2
Method: DFT, r2SCAN
State: relaxed

Unit cell a=8.4534 b=8.4534 c=8.4534 alpha=109.51 beta=109.51 gamma=109.39
Closest atoms and distances in Å follow each position.
Sites, in units of the cell vectors:
La 0.1228 0.7335 0.7483  4 Sb 3.23-3.53, 2 Sn 3.24-3.51
La 0.6272 0.8755 0.1107  4 Sb 3.23-3.53, 2 Sn 3.24-3.51
La 0.6255 0.8772 0.6107  4 Sb 3.23-3.53, 2 Sn 3.24-3.51
La 0.2665 0.0148 0.3893  4 Sb 3.23-3.53, 2 Sn 3.24-3.51
La 0.7648 0.5165 0.8893  4 Sb 3.23-3.53, 2 Sn 3.24-3.51
Sb 0.8750 0.7495 0.3745  8 La 3.23-3.53
Sn 0.7500 0.2500 0.5000  8 La 3.24-3.51
Sb 0.2505 0.6250 0.1255  8 La 3.23-3.53
Sn 0.0000 0.0000 0.0000  8 La 3.24-3.51
La 0.1245 0.2352 0.7517  4 Sb 3.23-3.53, 2 Sn 3.24-3.51
Sb 0.3750 0.5005 0.6255  8 La 3.23-3.53
La 0.4835 0.3728 0.2483  4 Sb 3.23-3.53, 2 Sn 3.24-3.51
La 0.9852 0.3745 0.2517  4 Sb 3.23-3.53, 2 Sn 3.24-3.51
Sb 0.4995 0.1250 0.8745  8 La 3.23-3.53

Calculated values
Energy of formation   -1.1992 eV/atom
Uncorrected energy   -1.0685 Ha/atom
SG   No. 122
Volume   33.22 Å³ per atom

No. 9
Material: Dy3Os
Method: DFT, r2SCAN
State: relaxed

Unit cell a=6.3312 b=7.3620 c=9.0226 alpha=90.00 beta=90.00 gamma=90.00
Closest atoms and distances in Å follow each position.
Sites, in units of the cell vectors:
Dy 0.6696 0.3267 0.5635  3 Os 2.84-3.14
Dy 0.3719 0.9583 0.7500  2 Os 2.73-2.83
Os 0.9645 0.1158 0.7500  6 Dy 2.73-2.95
Dy 0.6281 0.0417 0.2500  2 Os 2.73-2.83
Dy 0.8304 0.8267 0.9365  3 Os 2.84-3.14
Dy 0.1696 0.1733 0.0635  3 Os 2.84-3.14
Dy 0.1696 0.1733 0.4365  3 Os 2.84-3.14
Dy 0.8719 0.5417 0.2500  2 Os 2.73-2.83
Dy 0.8304 0.8267 0.5635  3 Os 2.84-3.14
Os 0.0355 0.8842 0.2500  6 Dy 2.73-2.95
Dy 0.1281 0.4583 0.7500  2 Os 2.73-2.83
Os 0.5355 0.6158 0.7500  6 Dy 2.73-2.95
Dy 0.3304 0.6733 0.0635  3 Os 2.84-3.14
Dy 0.6696 0.3267 0.9365  3 Os 2.84-3.14
Dy 0.3304 0.6733 0.4365  3 Os 2.84-3.14
Os 0.4645 0.3842 0.2500  6 Dy 2.73-2.95

Calculated values
Energy of formation   -0.3173 eV/atom
Uncorrected energy   -1.3799 Ha/atom
SG   No. 62
Volume   26.28 Å³ per atom

No. 10
Material: CsCu4Se3
Method: DFT, r2SCAN
State: relaxed

Unit cell a=4.0456 b=4.0456 c=10.2954 alpha=90.00 beta=90.00 gamma=90.00
Closest atoms and distances in Å follow each position.
Sites, in units of the cell vectors:
Cu 0.5000 0.0000 0.8500  4 Se 2.41-2.54
Cu 0.0000 0.5000 0.8500  4 Se 2.41-2.54
Se 0.0000 0.0000 0.0000  8 Cu 2.54
Cs 0.0000 0.0000 0.5000  8 Se 3.66, 4 Cs 4.05
Cu 0.0000 0.5000 0.1500  4 Se 2.41-2.54
Se 0.5000 0.5000 0.2778  4 Cu 2.41
Cu 0.5000 0.0000 0.1500  4 Se 2.41-2.54
Se 0.5000 0.5000 0.7222  4 Cu 2.41

Calculated values
Energy of formation   -0.4542 eV/atom
Uncorrected energy   -0.5286 Ha/atom
SG   No. 123
Volume   21.06 Å³ per atom